Record 1
A plane-wave DFT calculation with PBE+U was carried out for crystalline Ba2MgFeMoO6 at its relaxed geometry.

Cell lengths 5.820, 5.854, 5.968 Å; angles 64.16, 62.64, 81.46 degrees
Positions (direct):
Ba1 0.000 0.000 0.000
Ba2 0.275 0.634 0.530
Mg1 0.827 0.385 0.350
Fe1 0.392 0.245 0.209
Mo1 0.649 0.828 0.758
O1 0.023 0.084 0.461
O2 0.300 0.584 0.049
O3 0.491 0.153 0.506
O4 0.524 0.032 0.024
O5 0.756 0.645 0.490
O6 0.831 0.547 0.983

Output
The calculation puts the total magnetization at 0.182 μB per atom. The calculation puts the excess energy over the best structure of this formula in the dataset at 0 meV/atom.



Record 2
A plane-wave DFT calculation with PBE+U was carried out for crystalline LiV2P3O12 at its relaxed geometry.

Cell lengths 8.684, 8.630, 14.632 Å; angles 90.00, 125.20, 90.00 degrees
Positions (direct):
Li1 0.176 0.207 0.262
Li2 0.176 0.293 0.762
Li3 0.824 0.707 0.238
Li4 0.824 0.793 0.738
V1 0.135 0.527 0.386
V2 0.135 0.973 0.886
V3 0.369 0.535 0.117
V4 0.369 0.965 0.617
V5 0.631 0.035 0.383
V6 0.631 0.465 0.883
V7 0.865 0.027 0.114
V8 0.865 0.473 0.614
P1 0.037 0.247 0.505
P2 0.037 0.253 0.005
P3 0.251 0.614 0.855
P4 0.251 0.886 0.355
P5 0.464 0.107 0.854
P6 0.464 0.393 0.354
P7 0.536 0.607 0.646
P8 0.536 0.893 0.146
P9 0.749 0.114 0.645
P10 0.749 0.386 0.145
P11 0.963 0.747 0.995
P12 0.963 0.753 0.495
O1 0.034 0.164 0.096
O2 0.034 0.336 0.596
O3 0.056 0.136 0.929
O4 0.056 0.364 0.429
O5 0.092 0.002 0.275
O6 0.092 0.498 0.775
O7 0.145 0.657 0.075
O8 0.145 0.843 0.575
O9 0.173 0.718 0.329
O10 0.173 0.782 0.829
O11 0.217 0.151 0.566
O12 0.217 0.349 0.066
O13 0.281 0.096 0.850
O14 0.281 0.404 0.350
O15 0.317 0.570 0.975
O16 0.317 0.930 0.475
O17 0.358 0.562 0.534
O18 0.358 0.938 0.034
O19 0.415 0.599 0.844
O20 0.415 0.901 0.344
O21 0.439 0.505 0.264
O22 0.439 0.995 0.764
O23 0.461 0.222 0.323
O24 0.461 0.278 0.823
O25 0.539 0.722 0.177
O26 0.539 0.778 0.677
O27 0.561 0.005 0.236
O28 0.561 0.495 0.736
O29 0.585 0.099 0.656
O30 0.585 0.401 0.156
O31 0.642 0.062 0.966
O32 0.642 0.438 0.466
O33 0.683 0.070 0.525
O34 0.683 0.430 0.025
O35 0.719 0.596 0.650
O36 0.719 0.904 0.150
O37 0.783 0.651 0.934
O38 0.783 0.849 0.434
O39 0.827 0.218 0.171
O40 0.827 0.282 0.671
O41 0.855 0.157 0.425
O42 0.855 0.343 0.925
O43 0.908 0.502 0.225
O44 0.908 0.998 0.725
O45 0.944 0.636 0.571
O46 0.944 0.864 0.071
O47 0.966 0.664 0.404
O48 0.966 0.836 0.904

Output
The calculation puts the total magnetization at 0.111 μB per atom. The calculation puts the excess energy over the best structure of this formula in the dataset at 19 meV/atom.



Record 3
A plane-wave DFT calculation with PBE+U was carried out for crystalline Mg2Fe2Si3O12 at its relaxed geometry.

Cell lengths 10.086, 10.086, 10.086 Å; angles 109.63, 109.63, 109.15 degrees
Positions (direct):
Mg1 0.129 0.250 0.379
Mg2 0.250 0.371 0.121
Mg3 0.250 0.871 0.621
Mg4 0.371 0.750 0.121
Mg5 0.629 0.250 0.879
Mg6 0.750 0.129 0.379
Mg7 0.750 0.629 0.879
Mg8 0.871 0.750 0.621
Fe1 0.000 0.000 0.000
Fe2 0.000 0.000 0.500
Fe3 0.000 0.500 0.000
Fe4 0.000 0.500 0.500
Fe5 0.500 0.000 0.000
Fe6 0.500 0.000 0.500
Fe7 0.500 0.500 0.000
Fe8 0.500 0.500 0.500
Si1 0.125 0.875 0.250
Si2 0.126 0.750 0.876
Si3 0.250 0.126 0.876
Si4 0.250 0.626 0.376
Si5 0.374 0.250 0.624
Si6 0.375 0.625 0.750
Si7 0.625 0.375 0.250
Si8 0.626 0.750 0.376
Si9 0.750 0.374 0.624
Si10 0.750 0.874 0.124
Si11 0.874 0.250 0.124
Si12 0.875 0.125 0.750
O1 0.014 0.309 0.906
O2 0.018 0.203 0.125
O3 0.078 0.703 0.685
O4 0.097 0.892 0.406
O5 0.107 0.982 0.685
O6 0.108 0.014 0.205
O7 0.110 0.623 0.425
O8 0.123 0.610 0.925
O9 0.185 0.198 0.575
O10 0.191 0.486 0.594
O11 0.198 0.123 0.013
O12 0.203 0.578 0.185
O13 0.297 0.482 0.375
O14 0.302 0.315 0.925
O15 0.309 0.903 0.295
O16 0.315 0.890 0.013
O17 0.377 0.302 0.487
O18 0.390 0.815 0.513
O19 0.392 0.597 0.906
O20 0.393 0.078 0.875
O21 0.403 0.809 0.795
O22 0.422 0.107 0.625
O23 0.482 0.607 0.185
O24 0.486 0.392 0.295
O25 0.514 0.608 0.705
O26 0.518 0.393 0.815
O27 0.578 0.893 0.375
O28 0.597 0.191 0.205
O29 0.607 0.922 0.125
O30 0.608 0.403 0.094
O31 0.610 0.185 0.487
O32 0.623 0.698 0.513
O33 0.685 0.110 0.987
O34 0.691 0.097 0.705
O35 0.698 0.685 0.075
O36 0.703 0.518 0.625
O37 0.797 0.422 0.815
O38 0.802 0.877 0.987
O39 0.809 0.514 0.406
O40 0.815 0.802 0.425
O41 0.877 0.390 0.075
O42 0.890 0.377 0.575
O43 0.892 0.986 0.795
O44 0.893 0.018 0.315
O45 0.903 0.108 0.594
O46 0.922 0.297 0.315
O47 0.982 0.797 0.875
O48 0.986 0.691 0.094

Output
The calculation puts the total magnetization at 0.421 μB per atom. The total energy is -6.8598 eV per atom.



Record 4
A plane-wave DFT calculation with PBE+U was carried out for crystalline LiFe3SiPO8 at its relaxed geometry.

Cell lengths 5.564, 7.166, 9.839 Å; angles 90.00, 122.15, 90.00 degrees
Positions (direct):
Li1 0.000 0.195 0.000
Li2 0.000 0.805 0.500
Fe1 0.384 0.437 0.622
Fe2 0.384 0.563 0.122
Fe3 0.654 0.346 0.431
Fe4 0.654 0.654 0.931
Fe5 0.692 0.051 0.188
Fe6 0.692 0.949 0.688
Si1 0.956 0.488 0.229
Si2 0.956 0.512 0.729
P1 0.315 0.054 0.817
P2 0.315 0.946 0.317
O1 0.060 0.072 0.201
O2 0.060 0.928 0.701
O3 0.273 0.451 0.389
O4 0.273 0.549 0.889
O5 0.308 0.091 0.971
O6 0.308 0.909 0.471
O7 0.326 0.225 0.730
O8 0.326 0.775 0.230
O9 0.599 0.058 0.370
O10 0.599 0.942 0.870
O11 0.716 0.350 0.235
O12 0.716 0.650 0.735
O13 0.789 0.307 0.692
O14 0.789 0.693 0.192
O15 0.972 0.452 0.066
O16 0.972 0.548 0.566

Output
The calculation puts the total magnetization at 0.857 μB per atom. The calculation puts the excess energy over the best structure of this formula in the dataset at 101 meV/atom.



Record 5
A plane-wave DFT calculation with PBE+U was carried out for crystalline Li5MnO4 at its relaxed geometry.

Cell lengths 5.360, 15.356, 9.926 Å; angles 90.00, 90.00, 90.00 degrees
Positions (direct):
Li1 0.063 0.156 0.173
Li2 0.063 0.344 0.673
Li3 0.077 0.069 0.958
Li4 0.077 0.431 0.458
Li5 0.100 0.743 0.623
Li6 0.100 0.757 0.123
Li7 0.106 0.674 0.837
Li8 0.106 0.826 0.337
Li9 0.208 0.507 0.711
Li10 0.208 0.993 0.211
Li11 0.292 0.007 0.711
Li12 0.292 0.493 0.211
Li13 0.394 0.174 0.837
Li14 0.394 0.326 0.337
Li15 0.400 0.243 0.623
Li16 0.400 0.257 0.123
Li17 0.423 0.569 0.958
Li18 0.423 0.931 0.458
Li19 0.437 0.656 0.173
Li20 0.437 0.844 0.673
Li21 0.563 0.156 0.327
Li22 0.563 0.344 0.827
Li23 0.577 0.069 0.542
Li24 0.577 0.431 0.042
Li25 0.600 0.743 0.877
Li26 0.600 0.757 0.377
Li27 0.606 0.674 0.663
Li28 0.606 0.826 0.163
Li29 0.708 0.507 0.789
Li30 0.708 0.993 0.289
Li31 0.792 0.007 0.789
Li32 0.792 0.493 0.289
Li33 0.894 0.174 0.663
Li34 0.894 0.326 0.163
Li35 0.900 0.243 0.877
Li36 0.900 0.257 0.377
Li37 0.923 0.569 0.542
Li38 0.923 0.931 0.042
Li39 0.937 0.656 0.327
Li40 0.937 0.844 0.827
Mn1 0.150 0.120 0.444
Mn2 0.150 0.380 0.944
Mn3 0.350 0.620 0.444
Mn4 0.350 0.880 0.944
Mn5 0.650 0.120 0.056
Mn6 0.650 0.380 0.556
Mn7 0.850 0.620 0.056
Mn8 0.850 0.880 0.556
O1 0.108 0.541 0.366
O2 0.108 0.959 0.866
O3 0.184 0.649 0.025
O4 0.184 0.851 0.525
O5 0.225 0.212 0.319
O6 0.225 0.288 0.819
O7 0.239 0.621 0.633
O8 0.239 0.879 0.133
O9 0.261 0.121 0.633
O10 0.261 0.379 0.133
O11 0.275 0.712 0.319
O12 0.275 0.788 0.819
O13 0.316 0.149 0.025
O14 0.316 0.351 0.525
O15 0.392 0.041 0.366
O16 0.392 0.459 0.866
O17 0.608 0.541 0.134
O18 0.608 0.959 0.634
O19 0.684 0.649 0.475
O20 0.684 0.851 0.975
O21 0.725 0.212 0.181
O22 0.725 0.288 0.681
O23 0.739 0.621 0.867
O24 0.739 0.879 0.367
O25 0.761 0.121 0.867
O26 0.761 0.379 0.367
O27 0.775 0.712 0.181
O28 0.775 0.788 0.681
O29 0.816 0.149 0.475
O30 0.816 0.351 0.975
O31 0.892 0.041 0.134
O32 0.892 0.459 0.634

Output
The calculation puts the total magnetization at 0.400 μB per atom. The calculation puts the excess energy over the best structure of this formula in the dataset at 43 meV/atom.



Record 6
A plane-wave DFT calculation with PBE+U was carried out for crystalline Li9Mn2Co5O16 at its relaxed geometry.

Cell lengths 5.230, 2.882, 19.563 Å; angles 90.00, 97.67, 90.00 degrees
Positions (direct):
Li1 0.000 0.000 0.000
Li2 0.003 0.500 0.245
Li3 0.251 0.000 0.381
Li4 0.267 0.000 0.876
Li5 0.494 0.500 0.002
Li6 0.503 0.500 0.503
Li7 0.716 0.000 0.116
Li8 0.751 0.000 0.629
Li9 0.995 0.500 0.753
Mn1 0.491 0.000 0.248
Mn2 0.746 0.500 0.378
Co1 0.005 0.000 0.503
Co2 0.203 0.500 0.114
Co3 0.253 0.500 0.627
Co4 0.497 0.000 0.753
Co5 0.788 0.500 0.883
O1 0.104 0.500 0.932
O2 0.121 0.500 0.443
O3 0.149 0.000 0.683
O4 0.173 0.000 0.190
O5 0.344 0.000 0.569
O6 0.364 0.000 0.066
O7 0.367 0.500 0.806
O8 0.371 0.500 0.305
O9 0.619 0.500 0.692
O10 0.626 0.500 0.198
O11 0.637 0.000 0.435
O12 0.639 0.000 0.930
O13 0.832 0.000 0.315
O14 0.841 0.000 0.818
O15 0.879 0.500 0.558
O16 0.884 0.500 0.069

Output
The calculation puts the total magnetization at 0.750 μB per atom. The calculation puts the excess energy over the best structure of this formula in the dataset at 90 meV/atom.



Record 7
A plane-wave DFT calculation with PBE+U was carried out for crystalline Y2Mo4O15 at its relaxed geometry.

Cell lengths 6.931, 9.753, 10.732 Å; angles 90.00, 105.42, 90.00 degrees
Positions (direct):
Y1 0.211 0.023 0.277
Y2 0.211 0.477 0.777
Y3 0.789 0.523 0.223
Y4 0.789 0.977 0.723
Mo1 0.082 0.744 0.011
Mo2 0.082 0.756 0.511
Mo3 0.380 0.095 0.844
Mo4 0.380 0.405 0.344
Mo5 0.620 0.595 0.656
Mo6 0.620 0.905 0.156
Mo7 0.918 0.244 0.489
Mo8 0.918 0.256 0.989
O1 0.023 0.127 0.397
O2 0.023 0.373 0.897
O3 0.117 0.168 0.101
O4 0.117 0.332 0.601
O5 0.122 0.056 0.816
O6 0.122 0.444 0.316
O7 0.221 0.652 0.920
O8 0.221 0.848 0.420
O9 0.244 0.635 0.618
O10 0.244 0.865 0.118
O11 0.388 0.223 0.353
O12 0.388 0.277 0.853
O13 0.447 0.028 0.708
O14 0.447 0.472 0.208
O15 0.500 0.000 0.000
O16 0.500 0.500 0.500
O17 0.553 0.528 0.792
O18 0.553 0.972 0.292
O19 0.612 0.723 0.147
O20 0.612 0.777 0.647
O21 0.756 0.135 0.882
O22 0.756 0.365 0.382
O23 0.779 0.152 0.580
O24 0.779 0.348 0.080
O25 0.878 0.556 0.684
O26 0.878 0.944 0.184
O27 0.883 0.668 0.399
O28 0.883 0.832 0.899
O29 0.977 0.627 0.103
O30 0.977 0.873 0.603

Output
The calculation puts the total magnetization at 0.000 μB per atom. The total energy is -7.6271 eV per atom.



Record 8
A plane-wave DFT calculation with PBE+U was carried out for crystalline LaCrSnO6 at its relaxed geometry.

Cell lengths 5.500, 5.523, 5.534 Å; angles 90.55, 119.68, 119.60 degrees
Positions (direct):
La1 0.000 0.000 0.000
Cr1 0.510 0.762 0.253
Sn1 0.505 0.258 0.750
O1 0.027 0.567 0.021
O2 0.423 0.433 0.005
O3 0.512 0.558 0.522
O4 0.531 0.967 0.969
O5 0.543 0.051 0.464
O6 0.977 0.961 0.441

Output
The calculation puts the total magnetization at 0.111 μB per atom. The total energy is -6.9726 eV per atom.



Record 9
A plane-wave DFT calculation with PBE+U was carried out for crystalline SmCrO4 at its relaxed geometry.

Cell lengths 6.103, 6.103, 6.103 Å; angles 105.89, 105.89, 116.91 degrees
Positions (direct):
Sm1 0.375 0.625 0.750
Sm2 0.625 0.375 0.250
Cr1 0.125 0.875 0.250
Cr2 0.875 0.125 0.750
O1 0.136 0.704 0.432
O2 0.228 0.296 0.932
O3 0.296 0.228 0.432
O4 0.296 0.864 0.068
O5 0.704 0.136 0.932
O6 0.704 0.772 0.568
O7 0.772 0.704 0.068
O8 0.864 0.296 0.568

Output
The total energy is -7.6580 eV per atom.